Na4MgNi4O10 | PBE with a Hubbard U | relaxed

Results
- formation enthalpy at 0 K (eV per atom) = -1.334
- theoretical density (g/cm3) = 4.3
- M_tot (Bohr magnetons per cell) = 2.003
- SG = No. 1
- relative energy among the computed polymorphs (meV per atom) = 77
- final energy (eV for the cell shown) = -87.80
- energy with MP2020 corrections (eV for the cell shown) = -104.8

```
Na4MgNi4O10
1.0
-4.121 -2.969 0.338
4.789 -3.787 0.840
-1.093 3.299 6.075
Ni O Na Mg
4 10 4 1
Direct
0.586 0.201 0.188
0.403 0.797 0.800
0.799 0.589 0.608
0.994 0.003 0.985
0.118 0.497 0.717
0.840 0.519 0.333
0.864 0.057 0.232
0.314 0.321 0.074
0.532 0.730 0.553
0.114 0.918 0.725
0.679 0.106 0.889
0.305 0.890 0.064
0.548 0.285 0.525
0.679 0.658 0.868
0.999 0.527 0.037
0.201 0.392 0.391
0.565 0.713 0.220
0.840 0.083 0.569
0.413 0.293 0.793
```